This record from the Materials Project database describes a geometry-optimized BC7 structure. The functional is PBE.

The value obtained for the volume is 5.93 A^3/atom. The energy above the most stable polymorph in this dataset comes out at 66 meV/atom. The energy of formation comes out at 0.266 eV per atom. The size of the total moment comes out at 0.00 μB per atom.

Lattice parameters (Å, degrees): 3.6202 3.6202 3.6202 90.00 90.00 90.00
Last column: nearest neighbours and their distance in Å.
Space group P-43m (No. 215)
One atom of each set of equivalent atoms:
B: 0.0000 0.0000 0.0000  4 C 1.60
C: 0.0000 0.5000 0.5000  4 C 1.56
C: 0.2548 0.2548 0.2548  3 C 1.56, 1 B 1.60